1.
Here is a relaxed structure of Ba2HoMgRuO6 from Materials Project. Energies are from PBE-GGA.

a = 6.501 Å, b = 5.961 Å, c = 5.977 Å
α = 60.09°, β = 63.72°, γ = 62.71°
Element x y z (fractional)
Ho (0.407, 0.530, 0.533)
Mg (0.906, 0.359, 0.376)
O (0.209, 0.772, 0.247)
O (0.753, 0.249, 0.255)
O (0.739, 0.256, 0.750)
O (0.753, 0.743, 0.255)
O (0.201, 0.777, 0.766)
O (0.201, 0.256, 0.766)
Ru (0.990, 0.004, 0.002)
Ba (0.787, 0.735, 0.743)
Ba (0.420, 0.194, 0.193)

- total magnetic moment (μB/cell) = 1.0
- E_form (kJ per mole of atoms) = -238
- calculated volume (A^3/atom) = 15.58
- crystal system = monoclinic


2.
Here is a relaxed structure of Ba2HoMgRuO6 from Materials Project. Energies are from PBE-GGA.

a = 6.515 Å, b = 5.971 Å, c = 5.979 Å
α = 60.04°, β = 63.27°, γ = 62.73°
Element x y z (fractional)
O (0.751, 0.744, 0.254)
O (0.203, 0.775, 0.769)
O (0.743, 0.254, 0.748)
O (0.208, 0.772, 0.248)
O (0.203, 0.254, 0.769)
O (0.751, 0.251, 0.254)
Mg (0.906, 0.361, 0.372)
Ba (0.781, 0.738, 0.743)
Ba (0.422, 0.193, 0.193)
Ho (0.405, 0.531, 0.533)
Ru (0.991, 0.003, 0.003)

- total magnetic moment (μB/cell) = 1.0
- E_form (kJ per mole of atoms) = -238
- calculated volume (A^3/atom) = 15.60
- crystal system = monoclinic


3.
Here is a relaxed structure of Ba2HoMgRuO6 from Materials Project. Energies are from PBE-GGA.

a = 6.278 Å, b = 6.097 Å, c = 6.278 Å
α = 60.95°, β = 56.13°, γ = 60.95°
Element x y z (fractional)
O (0.230, 0.257, 0.770)
O (0.763, 0.237, 0.763)
O (0.770, 0.743, 0.230)
O (0.230, 0.743, 0.770)
O (0.770, 0.257, 0.230)
O (0.237, 0.763, 0.237)
Mg (0.000, 0.500, 0.000)
Ba (0.310, 0.190, 0.310)
Ba (0.690, 0.810, 0.690)
Ru (0.000, 0.000, 0.000)
Ho (0.500, 0.500, 0.500)

- total magnetic moment (μB/cell) = 1.0
- E_form (kJ per mole of atoms) = -244
- calculated volume (A^3/atom) = 15.14
- crystal system = orthorhombic


4.
Here is a relaxed structure of BaHo2O4 from Materials Project. Energies are from PBE-GGA.

a = 3.192 Å, b = 7.771 Å, c = 6.712 Å
α = 53.82°, β = 90.00°, γ = 90.00°
Element x y z (fractional)
Ho (0.750, 0.465, 0.469)
Ho (0.750, 0.204, 0.002)
Ba (0.250, 0.835, 0.735)
O (0.250, 0.503, 0.724)
O (0.250, 0.091, 0.262)
O (0.250, 0.597, 0.208)
O (0.250, 0.162, 0.749)

- total magnetic moment (μB/cell) = 0.0
- E_form (kJ per mole of atoms) = -300
- calculated volume (A^3/atom) = 19.20
- crystal system = monoclinic


The energy above the lowest structure with this stoichiometry results, record by record, are as follows: 63, 63, 3, 592 meV/atom.